# Na4Ca3ZrSiS5O24

Na4Ca3ZrSiS5O24 after structural relaxation (PBE, the Materials Project).

Results
mass density: 2.5 g cm⁻³
calculated formation energy: -97.4 eV/f.u.

Unit cell a=9.2643 b=9.2857 c=23.7757 alpha=89.98 beta=90.09 gamma=120.03
Fractional positions:
Ca 0.3225 0.6584 0.0185
Ca 0.9938 0.9931 0.1472
Ca 0.9929 0.9912 0.3503
Ca 0.9806 0.9921 0.6507
Ca 0.0025 0.0037 0.8452
Ca 0.6642 0.3342 0.6850
Ca 0.3365 0.6786 0.3201
Ca 0.3483 0.6747 0.5132
Ca 0.6766 0.3326 0.1842
O 0.8638 0.5400 0.1303
O 0.8782 0.3404 0.6322
O 0.2956 0.8433 0.9704
O 0.3629 0.4833 0.0815
O 0.4921 0.3393 0.4238
O 0.9935 0.7756 0.8027
O 0.7752 0.7851 0.1987
O 0.1794 0.9991 0.9094
O 0.5243 0.8722 0.0783
O 0.1109 0.6738 0.4747
O 0.8597 0.3783 0.9277
O 0.1081 0.6446 0.3723
O 0.7705 0.9801 0.7054
O 0.2077 0.1788 0.0780
O 0.2057 0.9913 0.1980
O 0.4585 0.3279 0.1349
O 0.5112 0.6314 0.8669
O 0.2156 0.0539 0.5836
O 0.8131 0.0076 0.4156
O 0.8528 0.3148 0.5302
O 0.1225 0.4936 0.5752
O 0.1672 0.4682 0.2533
O 0.6746 0.5181 0.5280
O 0.8284 0.0327 0.0772
O 0.8514 0.5002 0.4238
O 0.4689 0.1076 0.6331
O 0.4695 0.1406 0.5313
O 0.3609 0.4561 0.3663
O 0.2124 0.0121 0.3002
O 0.0203 0.7875 0.6999
O 0.5468 0.9071 0.3668
O 0.1676 0.6859 0.7557
O 0.6549 0.1346 0.7518
O 0.3240 0.4421 0.4686
O 0.1914 0.1885 0.4141
O 0.4968 0.6441 0.5796
O 0.7830 0.7761 0.3012
O 0.3271 0.4911 0.7566
O 0.5166 0.6689 0.2513
O 0.0180 0.2159 0.1999
O 0.6743 0.1391 0.0279
O 0.8652 0.5205 0.7499
O 0.3726 0.8752 0.8627
O 0.4664 0.1615 0.2486
O 0.9785 0.1743 0.9061
O 0.8450 0.8069 0.5813
O 0.9965 0.2063 0.3021
O 0.9957 0.1942 0.5809
O 0.8636 0.5359 0.0277
O 0.2161 0.2412 0.6995
O 0.3209 0.8634 0.5750
O 0.6593 0.1555 0.4230
O 0.6672 0.1281 0.1304
O 0.3257 0.8566 0.2521
O 0.5109 0.1522 0.9247
O 0.6444 0.5166 0.6375
O 0.1279 0.4999 0.8636
O 0.2186 0.2232 0.8024
O 0.1678 0.4324 0.9685
O 0.8623 0.3281 0.2492
O 0.9923 0.8023 0.4171
O 0.7663 0.9980 0.8080
O 0.4759 0.3293 0.0318
O 0.6655 0.5186 0.2488
O 0.5595 0.6970 0.9670
O 0.6238 0.4957 0.9233
O 0.5114 0.8305 0.7552
O 0.5599 0.8876 0.4688
O 0.1238 0.6471 0.0818
O 0.4765 0.3366 0.7522
O 0.9699 0.7969 0.0767
O 0.7950 0.7920 0.9057
Si 0.3346 0.9660 0.9185
Si 0.6667 0.6331 0.5844
Si 0.0346 0.3674 0.9183
S 0.9612 0.3341 0.5806
S 0.6899 0.6917 0.2497
S 0.3697 0.0406 0.5817
S 0.0219 0.6610 0.4215
S 0.6733 0.0391 0.0805
S 0.6215 0.6576 0.9166
S 0.0077 0.3020 0.2509
S 0.6799 0.9897 0.7551
S 0.6436 0.9845 0.4180
S 0.3362 0.3572 0.4177
S 0.3734 0.3305 0.0831
S 0.3085 0.3189 0.7524
S 0.3001 0.0024 0.2496
S 0.0062 0.6932 0.7520
S 0.9580 0.6328 0.0807
Na 0.0070 0.6866 0.9219
Na 0.6933 0.0235 0.9087
Na 0.3302 0.6859 0.1681
Na 0.6880 0.3258 0.3291
Na 0.0248 0.0235 0.0017
Na 0.3230 0.3500 0.5907
Na 0.0231 0.6943 0.5801
Na 0.2994 0.2912 0.9207
Na 0.3606 0.3601 0.2506
Na 0.6634 0.3221 0.8235
Na 0.3947 0.6874 0.6645
Na 0.9536 0.9751 0.4993
Zr 0.6656 0.3418 0.4829
Zr 0.6680 0.3257 0.9815
Zr 0.3192 0.6695 0.8198